A relaxed Tb2MnS4 crystal, computed with r2SCAN.

## Properties
Magnetic moment, μB per atom: 0.71
Crystal system: orthorhombic
Calculated formation energy, kcal/mol of atoms: -46.388
Mass density, g/cm³: 5.5

Lattice parameters (Å, degrees): 3.7964 12.4217 12.8690 90.00 90.00 90.00
With the nearest neighbours (Å) after each atom.
Space group Cmc2_1 (No. 36)
Symmetry-distinct sites (fractional):
Tb1 0.0000 0.1180 0.0000 (multiplicity 4)  7 S 2.72-3.02
Tb2 0.0000 0.3621 0.2024 (multiplicity 4)  6 S 2.71-2.77
Mn1 0.0000 0.3733 0.8382 (multiplicity 4)  6 S 2.53-2.64
S1 0.0000 0.0114 0.7894 (multiplicity 4)  2 Mn 2.63, 2 Tb 2.71
S2 0.0000 0.2605 0.3895 (multiplicity 4)  2 Mn 2.61, 3 Tb 2.72-2.81
S3 0.0000 0.2908 0.6496 (multiplicity 4)  1 Mn 2.64, 4 Tb 2.77-2.93
S4 0.0000 0.4615 0.0153 (multiplicity 4)  1 Mn 2.53, 3 Tb 2.71-2.72